Crystalline LuMgRh2 at its relaxed geometry. Source: the Materials Project, functional r²SCAN.

- energy relative to the elements (meV per atom) = -839
- mass density (g cm⁻³) = 10.1
- magnetization (μB per atom) = 0.00

Structure (CIF):
```
data_LuMgRh2
_space_group_name_H-M_alt 'F m -3 m'
_space_group_IT_number 225
_space_group_name_Hall '-F 4 2 3'
_cell_length_a 6.426
_cell_length_b 6.426
_cell_length_c 6.426
_cell_angle_alpha 90.00
_cell_angle_beta 90.00
_cell_angle_gamma 90.00
loop_
_atom_site_label
_atom_site_fract_x
_atom_site_fract_y
_atom_site_fract_z
Lu1 0.000 0.000 0.000
Mg1 0.000 0.000 0.500
Rh1 0.250 0.250 0.250
```

---

Crystalline LuMg2Sc at its relaxed geometry. Source: the Materials Project, functional r²SCAN.

- energy relative to the elements (meV per atom) = -40
- mass density (g cm⁻³) = 4.6
- magnetization (μB per atom) = 0.00

Structure (CIF):
```
data_LuMg2Sc
_space_group_name_H-M_alt 'F m -3 m'
_space_group_IT_number 225
_space_group_name_Hall '-F 4 2 3'
_cell_length_a 7.315
_cell_length_b 7.315
_cell_length_c 7.315
_cell_angle_alpha 90.00
_cell_angle_beta 90.00
_cell_angle_gamma 90.00
loop_
_atom_site_label
_atom_site_fract_x
_atom_site_fract_y
_atom_site_fract_z
Lu1 0.000 0.000 0.000
Mg1 0.250 0.250 0.250
Sc1 0.000 0.000 0.500
```

---

Crystalline LuMgZn2 at its relaxed geometry. Source: the Materials Project, functional r²SCAN.

- energy relative to the elements (meV per atom) = -327
- mass density (g cm⁻³) = 7.4
- magnetization (μB per atom) = 0.00

Structure (CIF):
```
data_LuMgZn2
_space_group_name_H-M_alt 'F m -3 m'
_space_group_IT_number 225
_space_group_name_Hall '-F 4 2 3'
_cell_length_a 6.671
_cell_length_b 6.671
_cell_length_c 6.671
_cell_angle_alpha 90.00
_cell_angle_beta 90.00
_cell_angle_gamma 90.00
loop_
_atom_site_label
_atom_site_fract_x
_atom_site_fract_y
_atom_site_fract_z
Lu1 0.000 0.000 0.000
Mg1 0.000 0.000 0.500
Zn1 0.250 0.250 0.250
```